This record from the Materials Project database describes an optimized crystal structure of Cu3MoH24C8S3I3N2O. The functional is GGA+U.

Cell lengths 10.0140, 15.0957, 19.0325 Å; angles 102.55, 90.00, 90.00 degrees
Sites, in units of the cell vectors:
N  0.2254  0.3572  0.4315
I  0.9733  0.5632  0.3370
H  0.7335  0.2801  0.5606
H  0.6074  0.7238  0.5549
H  0.1306  0.1450  0.1459
H  0.2638  0.9999  0.4458
C  0.2875  0.2829  0.4616
Cu  0.3058  0.0569  0.7151
H  0.7027  0.8263  0.8777
C  0.9216  0.6386  0.5522
N  0.7746  0.6428  0.5685
S  0.2458  0.3306  0.8322
H  0.6867  0.5090  0.7938
H  0.8926  0.2238  0.5549
H  0.9694  0.4443  0.8983
H  0.0306  0.5557  0.1017
C  0.5928  0.9875  0.8723
H  0.2798  0.4567  0.5240
H  0.7674  0.5566  0.9872
H  0.0744  0.5284  0.1858
H  0.4653  0.9151  0.4243
S  0.7402  0.4136  0.1692
C  0.7887  0.0536  0.5345
H  0.9256  0.4716  0.8142
Cu  0.8083  0.2015  0.2840
H  0.1493  0.8348  0.3385
N  0.2635  0.0329  0.1148
H  0.9653  0.5849  0.5757
Mo  0.8516  0.8052  0.2233
H  0.8043  0.6074  0.6688
H  0.7973  0.3263  0.8777
H  0.2315  0.6404  0.2058
H  0.1989  0.9024  0.1256
C  0.9072  0.4875  0.8723
H  0.6957  0.1074  0.6688
H  0.1074  0.7762  0.4451
C  0.2402  0.0143  0.0350
Cu  0.6942  0.9431  0.2849
H  0.7665  0.7801  0.5606
I  0.4852  0.2447  0.9863
H  0.0347  0.4151  0.4243
H  0.3043  0.8926  0.3312
H  0.8023  0.4396  0.9880
N  0.2746  0.8572  0.4315
H  0.5347  0.2045  0.5774
H  0.7202  0.6990  0.4797
Mo  0.1484  0.1948  0.7767
H  0.5306  0.9443  0.8983
C  0.7875  0.2171  0.5384
C  0.2599  0.5143  0.0350
C  0.2887  0.4464  0.4655
Cu  0.6917  0.7015  0.2840
H  0.4346  0.8765  0.5064
H  0.6977  0.9396  0.9880
H  0.4256  0.0284  0.1858
C  0.2440  0.3379  0.3514
H  0.7202  0.5433  0.4760
C  0.7125  0.7171  0.5384
H  0.6955  0.2271  0.6712
H  0.1061  0.9445  0.4494
H  0.1957  0.3926  0.3312
H  0.5744  0.9716  0.8142
H  0.3507  0.3348  0.3385
C  0.7113  0.5536  0.5345
C  0.7440  0.1621  0.6486
H  0.7685  0.3596  0.7942
H  0.6493  0.6652  0.6615
H  0.4653  0.7955  0.4226
S  0.2402  0.0864  0.8308
H  0.3045  0.7729  0.3288
H  0.7798  0.1990  0.4797
H  0.0698  0.9865  0.1344
C  0.4072  0.0125  0.1277
H  0.8011  0.0976  0.8744
I  0.4679  0.3927  0.6614
H  0.6061  0.5555  0.5506
H  0.7638  0.5001  0.5542
C  0.0928  0.5125  0.1277
I  0.5267  0.0632  0.3370
O  0.4749  0.3024  0.2181
H  0.1867  0.9910  0.2062
H  0.6989  0.5976  0.8744
Mo  0.3516  0.6948  0.7767
S  0.2542  0.8306  0.8322
H  0.3655  0.5254  0.0248
H  0.2335  0.2199  0.4394
C  0.2624  0.6306  0.1495
C  0.3264  0.4735  0.1478
C  0.7402  0.4857  0.9650
H  0.4262  0.9405  0.1044
Mo  0.6484  0.3052  0.2233
H  0.8939  0.0555  0.5506
H  0.2362  0.4999  0.4458
H  0.8507  0.1652  0.6615
C  0.2113  0.9464  0.4655
H  0.3133  0.4910  0.2062
O  0.0251  0.8024  0.2181
N  0.2365  0.5329  0.1148
I  0.0148  0.7447  0.9863
H  0.2202  0.9567  0.5240
H  0.2202  0.8010  0.5203
H  0.3023  0.0604  0.0120
I  0.5321  0.6073  0.3386
H  0.2027  0.6737  0.1223
H  0.5347  0.0849  0.5757
H  0.2685  0.1404  0.2058
I  0.0321  0.8927  0.6614
C  0.5784  0.1386  0.5522
S  0.7746  0.8371  0.3409
H  0.3926  0.2762  0.4451
H  0.3694  0.6450  0.1459
H  0.0347  0.2955  0.4226
H  0.5698  0.5135  0.8656
N  0.7254  0.1427  0.5685
N  0.7635  0.4671  0.8852
H  0.4694  0.0557  0.1017
O  0.9749  0.1976  0.7819
H  0.5654  0.1235  0.4936
H  0.8133  0.0090  0.7938
Cu  0.3083  0.2985  0.7160
H  0.0738  0.4405  0.1044
H  0.4302  0.4865  0.1344
S  0.2598  0.5864  0.8308
N  0.7365  0.9671  0.8852
I  0.4733  0.9368  0.6630
H  0.9262  0.5595  0.8956
H  0.3011  0.4024  0.1256
H  0.9302  0.0135  0.8656
C  0.2376  0.1306  0.1495
C  0.4216  0.8614  0.4478
C  0.0784  0.3614  0.4478
H  0.7362  0.0001  0.5542
H  0.2326  0.4434  0.0128
C  0.1736  0.9735  0.1478
S  0.7542  0.6694  0.1678
I  0.0267  0.4368  0.6630
H  0.3939  0.4445  0.4494
H  0.7326  0.0566  0.9872
H  0.9346  0.6235  0.4936
Cu  0.8058  0.4431  0.2849
S  0.2746  0.6629  0.6591
I  0.9852  0.2553  0.0137
C  0.7598  0.9857  0.9650
Cu  0.8264  0.2785  0.1165
H  0.8655  0.9746  0.9752
H  0.1955  0.2729  0.3288
Cu  0.6736  0.7785  0.1165
C  0.7560  0.6621  0.6486
Cu  0.3264  0.2215  0.8835
C  0.2125  0.7829  0.4616
H  0.2665  0.7199  0.4394
H  0.7315  0.8596  0.7942
O  0.5251  0.6976  0.7819
Cu  0.1917  0.7985  0.7160
H  0.8045  0.7271  0.6712
H  0.2674  0.9434  0.0128
C  0.8264  0.0265  0.8522
H  0.2798  0.3010  0.5203
I  0.5148  0.7553  0.0137
H  0.6345  0.4746  0.9752
C  0.7624  0.8694  0.8505
H  0.2973  0.1737  0.1223
S  0.7598  0.9136  0.1692
S  0.2254  0.1629  0.6591
I  0.9679  0.1073  0.3386
H  0.5738  0.0595  0.8956
H  0.6306  0.3550  0.8541
S  0.7254  0.3371  0.3409
Cu  0.1942  0.5569  0.7151
H  0.8694  0.8550  0.8541
H  0.1977  0.5604  0.0120
S  0.7458  0.1694  0.1678
C  0.2560  0.8379  0.3514
C  0.6736  0.5265  0.8522
H  0.7798  0.0433  0.4760
H  0.1345  0.0254  0.0248
Cu  0.1736  0.7215  0.8835
H  0.9653  0.7045  0.5774
C  0.7376  0.3694  0.8505
H  0.0654  0.3765  0.5064

Symmetry ... P2_1/c, No. 14
Corrected total energy (MP2020 scheme) ... -5.097 eV/atom
Energy of formation ... -0.275 eV per atom
Final energy ... -4.98 eV per atom

***

This record from the Materials Project database describes an optimized crystal structure of V3ZnP3O13. The functional is GGA+U.

Cell lengths 6.3283, 7.4948, 10.7487 Å; angles 80.54, 90.00, 90.00 degrees
Sites, in units of the cell vectors:
O  0.2500  0.5088  0.0431
O  0.4604  0.2173  0.0967
Zn  0.2500  0.6031  0.8608
O  0.2500  0.2140  0.6379
Zn  0.7500  0.3969  0.1392
V  0.5000  0.0000  0.0000
O  0.0547  0.7357  0.5712
O  0.0638  0.3929  0.7952
O  0.7500  0.7860  0.3621
O  0.9362  0.6071  0.2048
P  0.2500  0.2663  0.7669
V  0.7500  0.7759  0.5567
O  0.9604  0.7827  0.9033
O  0.7500  0.0225  0.5831
O  0.4453  0.7357  0.5712
O  0.7500  0.4912  0.9569
O  0.7500  0.1193  0.9082
P  0.2500  0.3126  0.1218
P  0.7500  0.6874  0.8782
V  0.0000  0.0000  0.0000
O  0.5396  0.7827  0.9033
O  0.0396  0.2173  0.0967
V  0.7500  0.3604  0.7959
V  0.2500  0.6396  0.2041
P  0.7500  0.7337  0.2331
O  0.2500  0.8807  0.0918
O  0.5547  0.2643  0.4288
O  0.2500  0.9775  0.4169
O  0.2500  0.0963  0.8732
O  0.5638  0.6071  0.2048
P  0.7500  0.2220  0.5152
O  0.2500  0.3532  0.2571
O  0.7500  0.3471  0.6155
O  0.4362  0.3929  0.7952
O  0.2500  0.6529  0.3845
P  0.2500  0.7780  0.4848
O  0.9453  0.2643  0.4288
O  0.7500  0.9037  0.1268
V  0.2500  0.2241  0.4433
O  0.7500  0.6468  0.7429

Symmetry ... P2_1/m, No. 11
Corrected total energy (MP2020 scheme) ... -8.015 eV/atom
Energy of formation ... -2.561 eV per atom
Final energy ... -7.31 eV per atom